A plane-wave DFT calculation with meta-GGA r2SCAN was carried out for a relaxed structure of Tm6GaCo2.

a = 8.094 Å, b = 8.094 Å, c = 8.094 Å
α = 111.91°, β = 109.30°, γ = 107.23°
Atoms (fractional coordinates):
Tm (0.040, 0.238, 0.802)
Tm (0.181, 0.281, 0.462)
Tm (0.181, 0.719, 0.900)
Tm (0.327, 0.015, 0.688)
Tm (0.327, 0.639, 0.312)
Tm (0.436, 0.238, 0.198)
Tm (0.564, 0.762, 0.802)
Tm (0.673, 0.361, 0.688)
Tm (0.673, 0.985, 0.312)
Tm (0.819, 0.281, 0.100)
Tm (0.819, 0.719, 0.538)
Tm (0.960, 0.762, 0.198)
Ga (0.000, 0.000, 0.000)
Ga (0.500, 0.500, 0.000)
Co (0.115, 0.615, 0.500)
Co (0.339, 0.000, 0.339)
Co (0.661, 0.000, 0.661)
Co (0.885, 0.385, 0.500)

Properties
Uncorrected energy in eV for the cell shown: -502.47
Spin magnetization in μB/cell: 0.0
Formation energy from the elements in meV/atom: -288.9